An optimized crystal structure of Rb2VO2F4, computed with PBE+U.

Calculated values
Space group: Cmcm
Size of the total moment: 2.0 Bohr magnetons per cell
Energy of formation: -23.01 eV/f.u.
VASP energy: -93.37 eV/cell
Offset from the most stable computed form: 0.005 eV per atom

Cell: 6.370 6.370 8.692 Å, 90.00 90.00 95.65°
Element x y z (fractional)
Rb1 0.240 0.760 0.500
Rb2 0.240 0.760 0.000
Rb3 0.760 0.240 0.500
Rb4 0.760 0.240 0.000
V1 0.259 0.259 0.250
V2 0.741 0.741 0.750
O1 0.062 0.062 0.250
O2 0.938 0.938 0.750
O3 0.489 0.489 0.250
O4 0.511 0.511 0.750
F1 0.293 0.293 0.462
F2 0.707 0.707 0.538
F3 0.293 0.293 0.038
F4 0.707 0.707 0.962
F5 0.468 0.066 0.250
F6 0.934 0.532 0.750
F7 0.532 0.934 0.750
F8 0.066 0.468 0.250

---

An optimized crystal structure of MgCrGaO4, computed with PBE+U.

Calculated values
Space group: Pm
Size of the total moment: 3.0 Bohr magnetons per cell
Energy of formation: -15.25 eV/f.u.
VASP energy: -44.58 eV/cell
Offset from the most stable computed form: 0.166 eV per atom

Cell: 5.203 6.018 5.211 Å, 77.44 104.58 149.82°
Element x y z (fractional)
Mg1 0.797 0.500 0.703
Cr1 0.585 0.000 0.418
Ga1 0.470 0.499 0.031
O1 0.154 0.000 0.849
O2 0.191 0.500 0.687
O3 0.818 0.999 0.184
O4 0.815 0.500 0.311

---

An optimized crystal structure of VNiP2O9, computed with PBE+U.

Calculated values
Space group: Pnma
Size of the total moment: 12.0 Bohr magnetons per cell
Energy of formation: -28.77 eV/f.u.
VASP energy: -354.29 eV/cell

Cell: 6.276 7.817 13.928 Å, 90.00 90.00 90.00°
Element x y z (fractional)
V1 0.750 0.845 0.381
V2 0.250 0.155 0.619
V3 0.250 0.345 0.119
V4 0.750 0.655 0.881
Ni1 0.500 0.500 0.500
Ni2 0.500 0.000 0.000
Ni3 0.000 0.000 0.000
Ni4 0.000 0.500 0.500
P1 0.250 0.849 0.440
P2 0.750 0.151 0.560
P3 0.750 0.349 0.060
P4 0.250 0.651 0.940
P5 0.750 0.890 0.190
P6 0.250 0.110 0.810
P7 0.250 0.390 0.310
P8 0.750 0.610 0.690
O1 0.048 0.107 0.872
O2 0.548 0.893 0.128
O3 0.952 0.607 0.628
O4 0.452 0.393 0.372
O5 0.952 0.893 0.128
O6 0.452 0.107 0.872
O7 0.048 0.393 0.372
O8 0.548 0.607 0.628
O9 0.250 0.834 0.981
O10 0.750 0.166 0.019
O11 0.750 0.334 0.519
O12 0.250 0.666 0.481
O13 0.750 0.659 0.444
O14 0.250 0.341 0.556
O15 0.250 0.159 0.056
O16 0.750 0.841 0.944
O17 0.750 0.729 0.259
O18 0.250 0.271 0.741
O19 0.250 0.229 0.241
O20 0.750 0.771 0.759
O21 0.449 0.628 0.876
O22 0.949 0.372 0.124
O23 0.551 0.128 0.624
O24 0.051 0.872 0.376
O25 0.551 0.372 0.124
O26 0.051 0.628 0.876
O27 0.449 0.872 0.376
O28 0.949 0.128 0.624
O29 0.750 0.467 0.768
O30 0.250 0.533 0.232
O31 0.250 0.967 0.732
O32 0.750 0.033 0.268
O33 0.750 0.487 0.981
O34 0.250 0.513 0.019
O35 0.250 0.987 0.519
O36 0.750 0.013 0.481